Record 1
First-principles (meta-GGA r2SCAN) data for a relaxed structure of Yb3Ge5, as listed in Materials Project.

Lattice parameters (Å, degrees): 6.811 6.811 4.048 90.00 90.00 120.00
Atoms (fractional coordinates):
Yb1 0.000 0.642 0.000
Yb2 0.358 0.358 0.000
Yb3 0.642 0.000 0.000
Ge1 0.000 0.249 0.500
Ge2 0.249 0.000 0.500
Ge3 0.333 0.667 0.500
Ge4 0.667 0.333 0.500
Ge5 0.751 0.751 0.500

Summary:
* magnetization: 0.00 μB/atom
* space group: P-62m (189)
* DFT formation energy: -5.5 eV/f.u.
* crystal system: hexagonal

***

Record 2
First-principles (meta-GGA r2SCAN) data for a relaxed structure of YbZn2Ge2, as listed in Materials Project.

Lattice parameters (Å, degrees): 6.476 6.476 6.476 144.59 144.59 50.94
Atoms (fractional coordinates):
Yb1 0.000 0.000 0.000
Zn1 0.250 0.750 0.500
Zn2 0.750 0.250 0.500
Ge1 0.391 0.391 0.000
Ge2 0.609 0.609 0.000

Summary:
* magnetization: 0.00 μB/atom
* space group: I4/mmm (139)
* DFT formation energy: -1.5 eV/f.u.
* crystal system: tetragonal